A geometry-optimized Mg14NbC structure. Source: the Materials Project, functional PBE.

Structure (extended XYZ):
```
16
Lattice="9.972 0.000 0.000 0.000 3.063 5.414 0.000 -3.063 5.414" Properties=species:S:1:pos:R:3 pbc="T T T"
Mg 0.000 0.000 0.000
Mg 0.000 -1.514 2.724
Mg 0.000 0.000 5.388
Mg 0.000 1.514 2.724
Mg 2.503 0.000 7.167
Mg 2.657 0.000 1.711
Mg 2.667 -1.563 4.534
Mg 2.667 1.563 4.534
Mg 4.986 -1.493 8.124
Mg 4.986 1.493 8.124
Mg 7.305 -1.563 4.534
Mg 7.305 1.563 4.534
Mg 7.315 0.000 1.711
Mg 7.470 0.000 7.167
Nb 4.986 0.000 5.472
C 4.986 0.000 10.827
```

Computed properties:
As for the total magnetization: 0.01 μB per cell. The distance to the lowest polymorph of the same formula is 28 meV per atom.


A geometry-optimized Sr2LiReO6 structure. Source: the Materials Project, functional PBE.

Structure (extended XYZ):
```
10
Lattice="0.000 3.978 3.978 3.978 0.000 3.978 3.978 3.978 0.000" Properties=species:S:1:pos:R:3 pbc="T T T"
Sr 1.989 1.989 1.989
Sr 5.967 5.967 5.967
Li 0.000 0.000 0.000
Re 3.978 3.978 3.978
O 3.978 3.978 2.080
O 3.978 2.080 3.978
O 5.875 3.978 3.978
O 2.080 3.978 3.978
O 3.978 5.875 3.978
O 3.978 3.978 5.875
```

Computed properties:
As for the total magnetization: 0.00 μB per cell. Its total energy after the MP2020 corrections is -7.48 eV/atom.


A geometry-optimized CaNi3 structure. Source: the Materials Project, functional PBE.

Structure (extended XYZ):
```
12
Lattice="2.489 1.437 7.997 -2.489 1.437 7.997 0.000 -2.874 7.997" Properties=species:S:1:pos:R:3 pbc="T T T"
Ca 0.000 0.000 0.000
Ca 0.000 0.000 3.366
Ca 0.000 0.000 20.625
Ni -1.238 -0.715 9.941
Ni 0.000 0.000 7.978
Ni 0.000 -1.430 14.050
Ni -1.238 0.715 14.050
Ni 0.000 0.000 11.996
Ni 1.238 -0.715 9.941
Ni 0.000 1.430 9.941
Ni 0.000 0.000 16.013
Ni 1.238 0.715 14.050
```

Computed properties:
As for the total magnetization: 2.57 μB per cell.


A geometry-optimized PrCdHg2 structure. Source: the Materials Project, functional PBE.

Structure (extended XYZ):
```
4
Lattice="0.000 3.699 3.699 3.699 0.000 3.699 3.699 3.699 0.000" Properties=species:S:1:pos:R:3 pbc="T T T"
Pr 0.000 0.000 0.000
Cd 3.699 3.699 3.699
Hg 1.849 1.849 1.849
Hg 5.548 5.548 5.548
```


no.,ΔE_f (eV per atom)
1,0.351
2,-2.740
3,-0.159
4,-0.417